# PBE-GGA In3Ag, optimized geometry
# DFT formation energy, eV per atom: 0.073
# Calculated total energy, eV/atom: -2.6992
data_In3Ag
_cell_length_a 6.5691
_cell_length_b 6.5691
_cell_length_c 5.3214
_cell_angle_alpha 90.00
_cell_angle_beta 90.00
_cell_angle_gamma 120.00
_symmetry_space_group_name_H-M 'P 63/m m c'
_symmetry_Int_Tables_number 194
_symmetry_space_group_name_Hall '-P 6c 2c'
loop_
_atom_site_label
_atom_site_fract_x
_atom_site_fract_y
_atom_site_fract_z
In1 0.1715 0.3430 0.2500
Ag1 0.3333 0.6667 0.7500